This record from the Materials Project describes a relaxed structure of Sr2NbN3. The functional is PBE.

Lattice parameters (Å, degrees): 6.4226 6.4226 12.6558 91.18 91.18 123.36
Fractional coordinates of all 24 atoms:
1 Sr 0.0413 0.4441 0.8589
2 Sr 0.1114 0.3424 0.4225
3 Sr 0.3424 0.1114 0.9225
4 Sr 0.4441 0.0413 0.3589
5 Sr 0.5559 0.9587 0.6411
6 Sr 0.6576 0.8886 0.0775
7 Sr 0.8886 0.6576 0.5775
8 Sr 0.9587 0.5559 0.1411
9 Nb 0.2660 0.2690 0.6635
10 Nb 0.2690 0.2660 0.1635
11 Nb 0.7310 0.7340 0.8365
12 Nb 0.7340 0.7310 0.3365
13 N 0.0044 0.9956 0.2500
14 N 0.1129 0.2999 0.0406
15 N 0.1752 0.4994 0.6232
16 N 0.2999 0.1129 0.5406
17 N 0.4111 0.5889 0.2500
18 N 0.4994 0.1752 0.1232
19 N 0.5006 0.8248 0.8768
20 N 0.5889 0.4111 0.7500
21 N 0.7001 0.8871 0.4594
22 N 0.8248 0.5006 0.3768
23 N 0.8871 0.7001 0.9594
24 N 0.9956 0.0044 0.7500

## Properties
The energy of formation comes out at -1.2229 eV/atom. Its space group is C2/c. For the total energy, the calculation gives -7.46 eV/atom.

=====

This record from the Materials Project describes a relaxed structure of SrSm3. The functional is PBE.

Lattice parameters (Å, degrees): 5.2722 5.2722 5.2722 90.00 90.00 90.00
Fractional coordinates of all 4 atoms:
1 Sr 0.0000 0.0000 0.0000
2 Sm 0.0000 0.5000 0.5000
3 Sm 0.5000 0.0000 0.5000
4 Sm 0.5000 0.5000 0.0000

## Properties
The energy of formation comes out at 0.1681 eV/atom. For the magnetic moment, the calculation gives 0.03 μB per cell. Its space group is Pm-3m. For the total energy, the calculation gives -3.79 eV/atom.

=====

This record from the Materials Project describes a relaxed structure of LaAgAu2. The functional is PBE.

Lattice parameters (Å, degrees): 5.0782 5.0782 5.0782 60.00 60.00 60.00
Fractional coordinates of all 4 atoms:
1 La 0.0000 0.0000 0.0000
2 Ag 0.5000 0.5000 0.5000
3 Au 0.2500 0.2500 0.2500
4 Au 0.7500 0.7500 0.7500

## Properties
The energy of formation comes out at -0.5944 eV/atom. Its space group is Fm-3m. For the total energy, the calculation gives -4.17 eV/atom.